# V3NiO8

An optimized crystal structure of V3NiO8 (PBE with a Hubbard U, the Materials Project database).

abc: 5.392 5.652 7.098
angles: 88.90 89.26 89.86
Fractional positions:
V 0.008 0.924 0.878
V 0.500 0.577 0.372
V 0.997 0.428 0.629
Ni 0.498 0.086 0.124
O 0.316 0.947 0.919
O 0.436 0.866 0.334
O 0.925 0.623 0.819
O 0.823 0.535 0.429
O 0.324 0.463 0.571
O 0.438 0.418 0.177
O 0.940 0.118 0.680
O 0.845 0.016 0.068

## Properties
Volume (Å³ per cell): 216.3
Calculated density (g/cm3): 2.6
Energy relative to the lowest polymorph listed for this composition (meV per atom): 140
Space-group type: P1 (1)